Here is an optimized crystal structure of CsK2InCl6 from the Materials Project database. Energies are from PBE.

Results
energy with MP2020 corrections: -36.06 eV per cell
volume: 383 Å³ per cell
DFT formation energy: -1910 meV per atom
raw total energy: -32.38 eV/cell

CIF file:
```
data_CsK2InCl6
_cell_length_a 8.154
_cell_length_b 8.154
_cell_length_c 8.154
_cell_angle_alpha 60.00
_cell_angle_beta 60.00
_cell_angle_gamma 60.00
_space_group_name_H-M_alt 'P 1'
_space_group_IT_number 1
loop_
_space_group_symop_operation_xyz
'x,y,z'
loop_
_atom_site_label
_atom_site_type_symbol
_atom_site_fract_x
_atom_site_fract_y
_atom_site_fract_z
Cs1 Cs 0.500 0.500 0.500
Cl1 Cl 0.220 0.780 0.780
Cl2 Cl 0.780 0.220 0.220
Cl3 Cl 0.780 0.220 0.780
In1 In 0.000 0.000 0.000
Cl4 Cl 0.780 0.780 0.220
K1 K 0.750 0.750 0.750
K2 K 0.250 0.250 0.250
Cl5 Cl 0.220 0.780 0.220
Cl6 Cl 0.220 0.220 0.780
```